Compound: Li2FeB2O6
Source: the Materials Project database
Functional: GGA+U
Structure: relaxed

```
Li2FeB2O6
1.0
3.0617 0.0000 0.0000
0.0000 14.8194 0.0000
-0.4145 0.0000 9.1463
Li Fe B O
8 4 8 24
Direct
0.2071 0.2453 0.1078
0.2071 0.2547 0.6078
0.2138 0.0439 0.6181
0.2138 0.4561 0.1181
0.7862 0.5439 0.8819
0.7862 0.9561 0.3819
0.7929 0.7453 0.3922
0.7929 0.7547 0.8922
0.3111 0.6315 0.6273
0.3111 0.8685 0.1273
0.6889 0.1315 0.8727
0.6889 0.3685 0.3727
0.3438 0.0759 0.1646
0.3438 0.4241 0.6646
0.3658 0.6573 0.1041
0.3658 0.8427 0.6041
0.6342 0.1573 0.3959
0.6342 0.3427 0.8959
0.6562 0.5759 0.3354
0.6562 0.9241 0.8354
0.1755 0.1595 0.7525
0.1755 0.3405 0.2525
0.2247 0.1003 0.0211
0.2247 0.3997 0.5211
0.2737 0.5844 0.0208
0.2737 0.9156 0.5208
0.3075 0.7410 0.0389
0.3075 0.7590 0.5389
0.3304 0.5070 0.7218
0.3304 0.9930 0.2218
0.4834 0.1519 0.2490
0.4834 0.3481 0.7490
0.5166 0.6519 0.2510
0.5166 0.8481 0.7510
0.6696 0.0070 0.7782
0.6696 0.4930 0.2782
0.6925 0.2410 0.4611
0.6925 0.2590 0.9611
0.7263 0.0844 0.4792
0.7263 0.4156 0.9792
0.7753 0.6003 0.4789
0.7753 0.8997 0.9789
0.8245 0.6595 0.7475
0.8245 0.8405 0.2475
```

calculated formation energy = -2298 meV per atom
spin magnetization = 4.00 μB per formula unit

=====

Compound: RbMg6WO8
Source: the Materials Project database
Functional: GGA+U
Structure: relaxed

```
RbMg6WO8
1.0
4.5716 0.0000 0.0000
0.0000 4.5716 0.0000
0.0000 0.0000 9.0665
Rb Mg W O
1 6 1 8
Direct
0.0000 0.0000 0.0000
0.0000 0.5000 0.2366
0.0000 0.5000 0.7634
0.5000 0.0000 0.2366
0.5000 0.0000 0.7634
0.5000 0.5000 0.0000
0.5000 0.5000 0.5000
0.0000 0.0000 0.5000
0.0000 0.0000 0.2711
0.0000 0.0000 0.7289
0.0000 0.5000 0.0000
0.0000 0.5000 0.5000
0.5000 0.0000 0.0000
0.5000 0.0000 0.5000
0.5000 0.5000 0.2542
0.5000 0.5000 0.7458
```

calculated formation energy = -2225 meV per atom
spin magnetization = 3.00 μB per formula unit

=====

Compound: CrH8C4NO10
Source: the Materials Project database
Functional: GGA+U
Structure: relaxed

```
CrH8C4NO10
1.0
3.4205 -3.6302 0.0000
3.4205 3.6302 0.0000
-0.0436 0.0000 10.4574
Cr H C N O
1 8 4 1 10
Direct
0.0000 0.0000 0.0000
0.2262 0.4537 0.0980
0.3481 0.5796 0.5475
0.3989 0.3989 0.4161
0.4537 0.2262 0.0980
0.5478 0.7748 0.9014
0.5796 0.3481 0.5475
0.6340 0.6340 0.4618
0.7748 0.5478 0.9014
0.0267 0.2413 0.7554
0.2413 0.0267 0.7554
0.7593 0.9738 0.2449
0.9738 0.7593 0.2449
0.4912 0.4912 0.4938
0.0034 0.6170 0.3391
0.1080 0.7452 0.1372
0.2547 0.8929 0.8633
0.2830 0.2830 0.0581
0.3838 0.9937 0.6614
0.6170 0.0034 0.3391
0.7166 0.7166 0.9428
0.7452 0.1080 0.1372
0.8929 0.2547 0.8633
0.9937 0.3838 0.6614
```

calculated formation energy = -1359 meV per atom
spin magnetization = 3.00 μB per formula unit

=====

Compound: MgNiHO2
Source: the Materials Project database
Functional: GGA+U
Structure: relaxed

```
MgNiHO2
1.0
6.0676 0.0000 0.0000
0.0000 2.9845 0.0000
-0.9700 0.0000 5.6539
Mg Ni H O
2 2 2 4
Direct
0.0000 0.0000 0.0000
0.5000 0.5000 0.0000
0.2994 0.5000 0.4446
0.7994 0.0000 0.4446
0.0510 0.5000 0.6508
0.5510 0.0000 0.6508
0.2095 0.5000 0.1138
0.4039 0.0000 0.7059
0.7095 0.0000 0.1138
0.9039 0.5000 0.7059
```

calculated formation energy = -1437 meV per atom
spin magnetization = 1.00 μB per formula unit